No. 1
Compound: V20Ga2Ge3S40
Source: the Materials Project
Functional: PBE
Structure: relaxed

Unit cell a=11.8945 b=11.8945 c=15.3580 alpha=130.20 beta=130.20 gamma=48.15
Last column: nearest neighbours and their distance in Å.
Fractional coordinates of all 65 atoms:
1 V 0.0164 0.0164 0.2748  6 S 2.29-2.56
2 V 0.0667 0.6502 0.6416  6 S 2.29-2.56
3 V 0.1507 0.7332 0.5580  6 S 2.29-2.56
4 V 0.1835 0.1833 0.5252  6 S 2.29-2.56
5 V 0.2153 0.2176 0.0744  6 S 2.29-2.56
6 V 0.2668 0.8493 0.4420  6 S 2.29-2.56
7 V 0.3498 0.9333 0.3584  6 S 2.29-2.56
8 V 0.3826 0.3839 0.3249  6 S 2.29-2.56
9 V 0.4165 0.4163 0.8750  5 S 2.29-2.56
10 V 0.4676 0.0494 0.2417  6 S 2.29-2.56
11 V 0.5512 0.1320 0.1578  6 S 2.30-2.56
12 V 0.5837 0.5835 0.1250  5 S 2.29-2.56
13 V 0.6161 0.6174 0.6751  6 S 2.29-2.56
14 V 0.6664 0.2494 0.0413  6 S 2.29-2.56
15 V 0.7506 0.3336 0.9587  6 S 2.29-2.56
16 V 0.7824 0.7847 0.9256  6 S 2.29-2.56
17 V 0.8167 0.8165 0.4748  6 S 2.29-2.56
18 V 0.8680 0.4488 0.8422  6 S 2.30-2.56
19 V 0.9506 0.5324 0.7583  6 S 2.29-2.56
20 V 0.9836 0.9836 0.7252  6 S 2.29-2.56
21 Ga 0.3044 0.0955 0.8000  4 S 2.31
22 Ga 0.9045 0.6956 0.2000  4 S 2.31
23 Ge 0.1039 0.8961 0.0000  4 S 2.29
24 Ge 0.5043 0.2958 0.6000  4 S 2.29
25 Ge 0.7042 0.4957 0.4000  4 S 2.29
26 S 0.0235 0.0727 0.4518  3 V 2.29-2.30
27 S 0.0225 0.0861 0.9455  1 Ge 2.29, 3 V 2.56
28 S 0.0297 0.5633 0.4446  3 V 2.29-2.30
29 S 0.0370 0.5703 0.9555  3 V 2.30
30 S 0.1121 0.1779 0.8547  1 Ga 2.31, 3 V 2.54-2.55
31 S 0.1270 0.1766 0.3484  3 V 2.29-2.30
32 S 0.1315 0.6507 0.8366  1 Ge 2.29, 3 V 2.56
33 S 0.1514 0.6679 0.3646  1 Ga 2.31, 3 V 2.54-2.55
34 S 0.2217 0.2883 0.7450  1 Ga 2.31, 3 V 2.54-2.55
35 S 0.2232 0.2730 0.2516  3 V 2.29-2.30
36 S 0.2295 0.7631 0.2448  3 V 2.29-2.30
37 S 0.2369 0.7705 0.7552  3 V 2.29-2.30
38 S 0.3134 0.3777 0.6544  1 Ge 2.29, 3 V 2.56
39 S 0.3270 0.3765 0.1481  3 V 2.29-2.30
40 S 0.3321 0.8486 0.6354  1 Ga 2.31, 3 V 2.54-2.55
41 S 0.3493 0.8685 0.1634  1 Ge 2.29, 3 V 2.56
42 S 0.4229 0.4860 0.5456  1 Ge 2.29, 2 V 2.56
43 S 0.4237 0.4733 0.0522  3 V 2.29-2.30
44 S 0.4297 0.9630 0.0445  3 V 2.30
45 S 0.4367 0.9703 0.5554  3 V 2.29-2.30
46 S 0.5140 0.5771 0.4544  1 Ge 2.29, 2 V 2.56
47 S 0.5267 0.5763 0.9478  3 V 2.29-2.30
48 S 0.5314 0.0505 0.4366  1 Ge 2.29, 3 V 2.56
49 S 0.5513 0.0686 0.9647  1 Ga 2.31, 3 V 2.54-2.55
50 S 0.6223 0.6866 0.3456  1 Ge 2.29, 3 V 2.56
51 S 0.6235 0.6730 0.8519  3 V 2.29-2.30
52 S 0.6298 0.1633 0.8445  3 V 2.29-2.30
53 S 0.6370 0.1701 0.3552  3 V 2.29-2.30
54 S 0.7117 0.7783 0.2550  1 Ga 2.31, 3 V 2.54-2.55
55 S 0.7270 0.7768 0.7484  3 V 2.29-2.30
56 S 0.7317 0.2509 0.2369  1 Ge 2.29, 2 V 2.56
57 S 0.7491 0.2683 0.7631  1 Ge 2.29, 2 V 2.56
58 S 0.8221 0.8879 0.1453  1 Ga 2.31, 3 V 2.54-2.55
59 S 0.8234 0.8730 0.6516  3 V 2.29-2.30
60 S 0.8299 0.3630 0.6448  3 V 2.29-2.30
61 S 0.8367 0.3702 0.1555  3 V 2.29-2.30
62 S 0.9139 0.9775 0.0545  1 Ge 2.29, 3 V 2.56
63 S 0.9273 0.9765 0.5482  3 V 2.29-2.30
64 S 0.9314 0.4487 0.0353  1 Ga 2.31, 3 V 2.54-2.55
65 S 0.9495 0.4686 0.5634  1 Ge 2.29, 3 V 2.56

Calculated values
SG: No. 5
Total energy after the MP2020 corrections, eV per cell: -443.7
Crystal system: monoclinic
Calculated formation energy, eV per atom: -1.1784



No. 2
Compound: Li6P6H8O23
Source: the Materials Project
Functional: PBE
Structure: relaxed

Unit cell a=8.1820 b=8.2367 c=9.7551 alpha=99.27 beta=113.66 gamma=109.38
Last column: nearest neighbours and their distance in Å.
Fractional coordinates of all 43 atoms:
1 Li 0.0000 0.0000 0.0000  4 O 1.91-2.01
2 Li 0.0926 0.6404 0.4733  3 O 1.91-1.99
3 Li 0.2752 0.8695 0.2621  3 O 1.91-1.96
4 Li 0.5652 0.6799 0.3816  3 O 1.90-1.95
5 Li 0.7497 0.9189 0.1711  3 O 1.89-1.99
6 Li 0.8439 0.5554 0.6479  4 O 1.91-1.99
7 P 0.1193 0.9538 0.7400  4 O 1.50-1.62
8 P 0.1865 0.0621 0.4863  4 O 1.49-1.62
9 P 0.4179 0.4661 0.5611  4 O 1.49-1.62
10 P 0.4214 0.0877 0.0836  4 O 1.49-1.62
11 P 0.6507 0.4912 0.1584  4 O 1.48-1.62
12 P 0.7185 0.6000 0.9040  4 O 1.51-1.62
13 H 0.0717 0.3129 0.2038  1 O 0.98
14 H 0.1070 0.5919 0.0362  1 O 0.99
15 H 0.3305 0.6182 0.1149  1 O 0.99
16 H 0.5089 0.9316 0.5292  1 O 0.99
17 H 0.7279 0.9518 0.6003  1 O 0.99
18 H 0.7837 0.2547 0.4468  1 O 0.98
19 H 0.8855 0.2602 0.6214  1 O 0.97
20 H 0.9202 0.2637 0.0232  1 O 0.98
21 O 0.0097 0.2258 0.0970  2 H 0.98
22 O 0.0433 0.7601 0.6374  1 P 1.50
23 O 0.1920 0.0951 0.6570  2 P 1.61-1.62
24 O 0.2294 0.6350 0.1385  2 H 0.99
25 O 0.2370 0.4944 0.4821  1 P 1.49
26 O 0.2520 0.9140 0.4555  1 P 1.52
27 O 0.2583 0.0095 0.1237  1 P 1.51
28 O 0.3310 0.0075 0.8925  2 P 1.62
29 O 0.3693 0.2519 0.5281  2 P 1.61-1.62
30 O 0.4671 0.3012 0.1145  2 P 1.61-1.62
31 O 0.5059 0.5443 0.7521  2 P 1.62
32 O 0.5823 0.6381 0.1860  1 P 1.52
33 O 0.5831 0.5438 0.5230  1 P 1.51
34 O 0.6044 0.0625 0.1611  1 P 1.49
35 O 0.6062 0.9160 0.4993  2 H 0.99
36 O 0.6499 0.4601 0.9895  2 P 1.61-1.62
37 O 0.6850 0.1236 0.8068  1 H 1.99
38 O 0.7942 0.7944 0.0055  1 P 1.51
39 O 0.8414 0.5111 0.2842  1 P 1.48
40 O 0.8464 0.3330 0.5573  2 H 0.97-0.98
41 O 0.8544 0.5526 0.8549  1 P 1.51
42 O 0.9828 0.0006 0.7889  1 P 1.51
43 O 0.9936 0.0429 0.3635  1 P 1.49

Calculated values
SG: No. 1
Total energy after the MP2020 corrections, eV per cell: -277.6
Crystal system: triclinic
Calculated formation energy, eV per atom: -2.1562



No. 3
Compound: Mg2Tl
Source: the Materials Project
Functional: PBE
Structure: relaxed

Unit cell a=8.3593 b=8.3593 c=3.5804 alpha=90.00 beta=90.00 gamma=120.00
Last column: nearest neighbours and their distance in Å.
Fractional coordinates of all 9 atoms:
1 Mg 0.0000 0.3715 0.0000  5 Tl 3.11-3.19, 6 Mg 3.34-3.37
2 Mg 0.0000 0.7137 0.5000  4 Tl 2.99-3.00, 4 Mg 3.34
3 Mg 0.2863 0.2863 0.5000  4 Tl 2.99-3.00, 4 Mg 3.34
4 Mg 0.3715 0.0000 0.0000  5 Tl 3.11-3.19, 6 Mg 3.34-3.37
5 Mg 0.6285 0.6285 0.0000  5 Tl 3.11-3.19, 6 Mg 3.34-3.37
6 Mg 0.7137 0.0000 0.5000  4 Tl 2.99-3.00, 4 Mg 3.34
7 Tl 0.0000 0.0000 0.0000  9 Mg 2.99-3.11
8 Tl 0.3333 0.6667 0.5000  9 Mg 3.00-3.19
9 Tl 0.6667 0.3333 0.5000  9 Mg 3.00-3.19

Calculated values
SG: No. 189
Crystal system: hexagonal
Calculated formation energy, eV per atom: -0.0236



No. 4
Compound: Sr2Ti6N2O11
Source: the Materials Project
Functional: PBE
Structure: relaxed

Unit cell a=7.9233 b=7.9233 c=9.3000 alpha=98.90 beta=98.90 gamma=27.90
Last column: nearest neighbours and their distance in Å.
Fractional coordinates of all 21 atoms:
1 Sr 0.0000 0.0000 0.0000  2 N 2.63, 4 O 2.69-2.74
2 Sr 0.0987 0.0987 0.5251  4 O 2.63-2.78, 2 N 2.74
3 Ti 0.3149 0.3149 0.9862  5 O 1.85-2.03
4 Ti 0.3831 0.3831 0.3192  4 O 1.84-1.98
5 Ti 0.4328 0.4328 0.6627  4 O 1.86-1.97
6 Ti 0.6640 0.6640 0.8705  1 N 1.86, 3 O 1.92-1.97
7 Ti 0.7160 0.7160 0.1999  2 N 1.84-1.91, 2 O 2.03
8 Ti 0.7768 0.7768 0.5227  1 O 1.78, 1 N 1.89
9 N 0.6184 0.6184 0.0442  2 Ti 1.86-1.91
10 N 0.6762 0.6762 0.3760  2 Ti 1.84-1.89
11 O 0.1958 0.1958 0.8721  3 Ti 1.97
12 O 0.2570 0.2570 0.1824  4 Ti 2.03-2.15
13 O 0.3143 0.3143 0.5164  3 Ti 2.00-2.09
14 O 0.3928 0.3928 0.8542  2 Ti 1.85-1.97
15 O 0.4238 0.4238 0.1421  2 Ti 1.85-2.03
16 O 0.4807 0.4807 0.4621  1 Ti 1.84
17 O 0.5510 0.5510 0.7486  2 Ti 1.86-1.92
18 O 0.7132 0.7132 0.6667  1 Ti 1.78
19 O 0.7951 0.7951 0.9960  3 Ti 1.94-2.16
20 O 0.8512 0.8512 0.3280  2 Ti 1.98
21 O 0.9165 0.9165 0.6478  2 Ti 1.93

Calculated values
SG: No. 8
Excess energy over the best structure of this formula in the dataset, meV/atom: 31
Total energy after the MP2020 corrections, eV per cell: -187.4
Crystal system: monoclinic
Calculated formation energy, eV per atom: -3.1217



No. 5
Compound: Na8Ga2Si5Ge2SO24
Source: the Materials Project
Functional: PBE
Structure: relaxed

Unit cell a=8.8486 b=8.8701 c=21.7328 alpha=90.43 beta=90.70 gamma=119.85
Last column: nearest neighbours and their distance in Å.
Fractional coordinates of all 126 atoms:
1 Na 0.0000 0.0000 0.0000  5 O 2.32-2.54
2 Na 0.0016 0.3650 0.7525  6 O 2.42-2.52
3 Na 0.0342 0.6897 0.1734  5 O 2.37-2.46
4 Na 0.0391 0.0599 0.6677  6 O 2.41-2.59
5 Na 0.2937 0.6933 0.6716  6 O 2.39-2.60
6 Na 0.3025 0.3306 0.1691  6 O 2.32-2.58
7 Na 0.3257 0.0279 0.5852  6 O 2.42-2.57
8 Na 0.3284 0.6602 0.3359  6 O 2.40-2.62
9 Na 0.3310 0.3900 0.8357  6 O 2.44-2.63
10 Na 0.3433 0.0345 0.0856  6 O 2.38-2.61
11 Na 0.3692 0.3629 0.5024  6 O 2.38-2.59
12 Na 0.3728 0.7326 0.0000  6 O 2.41-2.59
13 Na 0.6214 0.3527 0.0038  6 O 2.40-2.54
14 Na 0.6301 0.9895 0.5005  5 O 2.34-2.54
15 Na 0.6563 0.0633 0.1677  6 O 2.41-2.59
16 Na 0.6593 0.6947 0.9192  6 O 2.41-2.57
17 Na 0.6608 0.3298 0.6691  5 O 2.36-2.57
18 Na 0.6656 0.6943 0.4209  6 O 2.42-2.51
19 Na 0.6915 0.0246 0.8369  6 O 2.39-2.66
20 Na 0.6988 0.3903 0.3358  6 O 2.40-2.63
21 Na 0.9663 0.0274 0.3374  5 O 2.38-2.56
22 Na 0.9703 0.6640 0.8343  6 O 2.39-2.67
23 Na 0.9959 0.7306 0.5023  6 O 2.39-2.61
24 Na 0.9979 0.3654 0.2532  6 O 2.41-2.57
25 Ga 0.3197 0.0269 0.7380  5 O 1.88-2.05
26 Ga 0.3431 0.0287 0.2376  5 O 1.87-2.07
27 Ga 0.3441 0.0401 0.9333  5 O 1.88-2.02
28 Ga 0.6360 0.6837 0.0673  4 O 1.84-2.03
29 Ga 0.6679 0.6819 0.5629  5 O 1.90-2.05
30 Ga 0.9965 0.3606 0.1041  5 O 1.88-2.04
31 Si 0.0362 0.0216 0.8357  4 O 1.62-1.66
32 Si 0.0413 0.7372 0.3347  4 O 1.62-1.67
33 Si 0.2835 0.3550 0.0025  4 O 1.63-1.67
34 Si 0.2894 0.6540 0.5004  4 O 1.62-1.66
35 Si 0.3258 0.3103 0.3360  4 O 1.62-1.67
36 Si 0.3306 0.7342 0.8355  4 O 1.63-1.67
37 Si 0.3712 0.6958 0.1700  4 O 1.63-1.67
38 Si 0.3736 0.4021 0.6672  4 O 1.61-1.68
39 Si 0.6248 0.0269 0.3367  4 O 1.61-1.66
40 Si 0.6258 0.3171 0.8354  4 O 1.62-1.66
41 Si 0.6641 0.4042 0.1681  4 O 1.64-1.67
42 Si 0.7085 0.0694 0.0026  4 O 1.63-1.67
43 Si 0.7115 0.3559 0.5010  4 O 1.62-1.67
44 Si 0.9548 0.6932 0.6682  4 O 1.61-1.68
45 Si 0.9982 0.0738 0.5018  4 O 1.63-1.67
46 Ge 0.0006 0.3464 0.8965  5 O 1.83-1.97
47 Ge 0.0132 0.3782 0.5999  5 O 1.81-1.97
48 Ge 0.3307 0.0267 0.4385  6 O 1.88-1.99
49 Ge 0.6502 0.6737 0.2763  5 O 1.85-1.95
50 Ge 0.6592 0.6756 0.7745  5 O 1.85-1.94
51 Ge 0.9980 0.3593 0.3993  6 O 1.87-1.98
52 S 0.6649 0.9832 0.6687  4 O 1.47-1.50
53 S 0.9527 0.9814 0.1693  4 O 1.48-1.50
54 S 0.9982 0.6523 0.0022  4 O 1.47-1.49
55 O 0.0161 0.1973 0.8405  1 Si 1.66, 1 Ge 1.85
56 O 0.0191 0.5422 0.3424  1 Si 1.65
57 O 0.0310 0.5754 0.0582  1 S 1.49
58 O 0.0387 0.2013 0.5638  1 Si 1.67, 1 Ge 1.86
59 O 0.1142 0.9766 0.8965  1 Si 1.62
60 O 0.1255 0.8652 0.3960  1 Si 1.65
61 O 0.1282 0.9996 0.1730  1 S 1.48
62 O 0.1511 0.8621 0.6741  1 Si 1.64
63 O 0.1553 0.3367 0.3424  1 Si 1.64
64 O 0.1546 0.5390 0.8428  1 Si 1.67
65 O 0.1552 0.8246 0.9983  1 S 1.47
66 O 0.1573 0.0737 0.7755  1 Si 1.62
67 O 0.1605 0.8164 0.2746  1 Si 1.62
68 O 0.1640 0.3213 0.0629  1 Si 1.63
69 O 0.1657 0.5763 0.5619  1 Si 1.66, 1 Ge 1.81
70 O 0.1748 0.3834 0.6630  1 Si 1.68
71 O 0.1761 0.0578 0.4966  1 Si 1.65
72 O 0.1810 0.5167 0.1641  1 Si 1.64
73 O 0.1971 0.4013 0.9419  1 Si 1.67, 1 Ge 1.83
74 O 0.2004 0.5219 0.4414  1 Si 1.63
75 O 0.2840 0.1918 0.2742  1 Si 1.62
76 O 0.2899 0.8140 0.7744  1 Si 1.63
77 O 0.2998 0.1796 0.9970  1 Si 1.64
78 O 0.3034 0.8456 0.4953  1 Si 1.65
79 O 0.3467 0.8665 0.1746  1 Si 1.64
80 O 0.3566 0.2108 0.6740  1 Si 1.63
81 O 0.3721 0.8557 0.8968  1 Si 1.63
82 O 0.3729 0.2292 0.3964  1 Si 1.65
83 O 0.4579 0.5320 0.7291  1 Si 1.67, 1 Ge 1.86
84 O 0.4640 0.6553 0.2299  1 Si 1.67, 1 Ge 1.86
85 O 0.4787 0.5300 0.0033  1 Si 1.65
86 O 0.4809 0.6741 0.5082  1 Si 1.62
87 O 0.4872 0.2147 0.1732  1 Si 1.64
88 O 0.4944 0.7438 0.1098  1 Si 1.63
89 O 0.4945 0.4888 0.6083  1 Si 1.61
90 O 0.4949 0.9818 0.3960  1 Si 1.65
91 O 0.5032 0.5065 0.3323  1 Si 1.67
92 O 0.5049 0.2483 0.8954  1 Si 1.62
93 O 0.5083 0.0025 0.6730  1 S 1.48
94 O 0.5082 0.7160 0.8281  1 Si 1.67
95 O 0.5129 0.0456 0.9972  1 Si 1.64
96 O 0.5166 0.1803 0.4964  1 Si 1.65
97 O 0.5478 0.1935 0.7743  1 Si 1.63
98 O 0.5531 0.0751 0.2755  1 Si 1.61
99 O 0.6341 0.8753 0.6131  1 S 1.47
100 O 0.6346 0.4946 0.1071  1 Si 1.64
101 O 0.6456 0.5125 0.8301  1 Si 1.66, 1 Ge 1.85
102 O 0.6458 0.8517 0.3281  1 Si 1.66
103 O 0.6907 0.5276 0.5043  1 Si 1.62
104 O 0.6979 0.9061 0.7249  1 S 1.50
105 O 0.7000 0.8790 0.0070  1 Si 1.66
106 O 0.7061 0.5343 0.2297  1 Si 1.67, 1 Ge 1.85
107 O 0.7913 0.1955 0.0631  1 Si 1.63
108 O 0.7969 0.3154 0.5632  1 Si 1.67
109 O 0.8191 0.2014 0.3434  1 Si 1.65
110 O 0.8242 0.1591 0.6659  1 S 1.50
111 O 0.8239 0.3442 0.8446  1 Si 1.66
112 O 0.8253 0.8835 0.5074  1 Si 1.63
113 O 0.8277 0.6528 0.7292  1 Si 1.67
114 O 0.8343 0.1600 0.9418  1 Si 1.67
115 O 0.8379 0.3977 0.4417  1 Si 1.64
116 O 0.8384 0.8508 0.8262  1 Si 1.66
117 O 0.8400 0.3856 0.1652  1 Si 1.65
118 O 0.8415 0.6708 0.0072  1 S 1.48
119 O 0.8437 0.9040 0.2241  1 S 1.48
120 O 0.8454 0.7204 0.3290  1 Si 1.67
121 O 0.8728 0.7377 0.6090  1 Si 1.61
122 O 0.8736 0.8713 0.1124  1 S 1.50
123 O 0.9599 0.1603 0.4417  1 Si 1.64
124 O 0.9633 0.5393 0.9465  1 S 1.49
125 O 0.9670 0.5103 0.6626  1 Si 1.68
126 O 0.9700 0.1563 0.1656  1 S 1.48

Calculated values
SG: No. 1
Total energy after the MP2020 corrections, eV per cell: -842.3
Crystal system: triclinic
Calculated formation energy, eV per atom: -2.4966



No. 6
Compound: Ca2AgSbO6
Source: the Materials Project
Functional: PBE
Structure: relaxed

Unit cell a=5.8208 b=7.7205 c=6.0864 alpha=90.00 beta=101.82 gamma=90.00
Last column: nearest neighbours and their distance in Å.
Fractional coordinates of all 20 atoms:
1 Ca 0.0257 0.2500 0.0740  8 O 2.42-2.63
2 Ca 0.4616 0.7500 0.4586  4 O 2.31-2.39
3 Ca 0.5384 0.2500 0.5414  4 O 2.31-2.39
4 Ca 0.9743 0.7500 0.9260  8 O 2.42-2.63
5 Ag 0.0000 0.0000 0.5000  4 O 2.04-2.07
6 Ag 0.0000 0.5000 0.5000  4 O 2.04-2.07
7 Sb 0.5000 0.0000 0.0000  6 O 1.98-2.06
8 Sb 0.5000 0.5000 0.0000  6 O 1.98-2.06
9 O 0.1026 0.7500 0.5712  2 Ag 2.04
10 O 0.1630 0.0430 0.8315  1 Sb 2.05, 1 Ag 2.07
11 O 0.1630 0.4570 0.8315  1 Sb 2.05, 1 Ag 2.07
12 O 0.3710 0.0541 0.2684  1 Sb 1.98
13 O 0.3710 0.4459 0.2684  1 Sb 1.98
14 O 0.4032 0.7500 0.0579  2 Sb 2.06
15 O 0.5968 0.2500 0.9421  2 Sb 2.06
16 O 0.6290 0.5541 0.7316  1 Sb 1.98
17 O 0.6290 0.9459 0.7316  1 Sb 1.98
18 O 0.8370 0.5430 0.1685  1 Sb 2.05, 1 Ag 2.07
19 O 0.8370 0.9570 0.1685  1 Sb 2.05, 1 Ag 2.07
20 O 0.8974 0.2500 0.4288  2 Ag 2.04

Calculated values
SG: No. 11
Total energy after the MP2020 corrections, eV per cell: -125.0
Crystal system: monoclinic
Calculated formation energy, eV per atom: -2.1844